--- A ---
GGA+U MgMn2O4, relaxed; symmetry = P1
1.0
-0.2796 -0.8297 3.1742
8.2380 -5.0420 -2.2648
1.2930 1.7735 2.2933
Mg Mn O
1 2 4
Direct
0.5819 0.2129 0.0459 Mg
0.0124 0.5209 0.4974 Mn
0.8217 0.9301 0.2868 Mn
0.1427 0.8813 0.5956 O
0.3802 0.6061 0.8464 O
0.6469 0.4162 0.1226 O
0.8933 0.1450 0.3554 O



--- B ---
GGA+U MgMn2O4, relaxed; symmetry = Cm
1.0
-5.0681 -3.1396 -1.7767
-3.2026 -3.7968 3.7453
-9.6589 10.4250 4.5037
Mg Mn O
6 12 24
Direct
0.1684 0.1684 0.9538 Mg
0.5006 0.5006 0.6247 Mg
0.5007 0.5007 0.9982 Mg
0.8305 0.8305 0.2903 Mg
0.1684 0.1684 0.7105 Mg
0.4999 0.4999 0.3757 Mg
0.1722 0.6712 0.8344 Mn
0.6683 0.6683 0.8333 Mn
0.5002 0.0004 0.5002 Mn
0.6712 0.1722 0.8344 Mn
0.8353 0.8353 0.6674 Mn
0.0001 0.0001 0.5004 Mn
0.8293 0.3277 0.1654 Mn
0.0004 0.5002 0.5002 Mn
0.3277 0.8293 0.1654 Mn
0.1642 0.1642 0.3334 Mn
0.3313 0.3313 0.1678 Mn
0.8332 0.8332 0.0449 Mn
0.3500 0.3500 0.9117 O
0.4969 0.4969 0.7587 O
0.3532 0.8146 0.9091 O
0.8146 0.3532 0.9091 O
0.5311 0.9812 0.7510 O
0.6775 0.6775 0.5758 O
0.9812 0.5311 0.7510 O
0.8389 0.8389 0.9065 O
0.6905 0.1403 0.5819 O
0.8258 0.8258 0.4253 O
0.9900 0.9900 0.7568 O
0.1403 0.6905 0.5819 O
0.8600 0.3095 0.4181 O
0.0091 0.0091 0.2431 O
0.3095 0.8600 0.4181 O
0.1745 0.1745 0.5747 O
0.1587 0.1587 0.0918 O
0.0160 0.4680 0.2485 O
0.3226 0.3226 0.4238 O
0.4680 0.0160 0.2485 O
0.1909 0.6472 0.0918 O
0.5050 0.5050 0.2411 O
0.6472 0.1909 0.0918 O
0.6486 0.6486 0.0891 O



Need the numbers? Relative energies in meV per atom: A 223; B 0.



--- A ---
GGA+U MgMn2O4, relaxed; symmetry = P1
1.0
-1.7876 -1.6599 -1.8899
6.8414 3.8555 -7.3157
0.8344 -2.8764 -0.7412
Mg Mn O
1 2 4
Direct
0.8541 0.2786 0.5803 Mg
0.0256 0.5414 0.4842 Mn
0.9949 0.9938 0.0013 Mn
0.2738 0.9150 0.3589 O
0.4020 0.6035 0.7988 O
0.5717 0.3571 0.2196 O
0.7320 0.0919 0.6402 O



--- B ---
GGA+U MgMn2O4, relaxed; symmetry = Imma
1.0
-3.0126 3.0128 4.3158
3.0126 -3.0128 4.3158
3.0126 3.0128 -4.3158
Mg Mn O
2 4 8
Direct
0.0000 0.0000 0.5000 Mg
0.0000 0.5000 0.0000 Mg
0.6126 0.8626 0.7500 Mn
0.3874 0.1374 0.2500 Mn
0.5000 0.5000 0.0000 Mn
0.0000 0.5000 0.5000 Mn
0.2550 0.2749 0.9801 O
0.2474 0.2780 0.5306 O
0.7948 0.2749 0.5199 O
0.2474 0.7169 0.9694 O
0.7526 0.2831 0.0306 O
0.7526 0.7220 0.4694 O
0.2052 0.7251 0.4801 O
0.7450 0.7251 0.0199 O



Need the numbers? Relative energies in meV per atom: A 281; B 0.



--- A ---
GGA+U Ba2CaV2Si4O14, relaxed; symmetry = P1
1.0
-0.0155 0.0289 5.7007
7.6537 -0.9719 -0.0222
-1.0749 7.8819 -2.8636
Ba Ca V Si O
2 1 2 4 14
Direct
0.8469 0.6869 0.6656 Ba
0.1956 0.3201 0.3788 Ba
0.2197 0.8912 0.4284 Ca
0.0684 0.5632 0.0998 V
0.8899 0.2026 0.7467 V
0.4116 0.4924 0.7933 Si
0.6170 0.5114 0.2068 Si
0.4260 0.9336 0.8156 Si
0.6232 0.0879 0.2345 Si
0.1263 0.3995 0.6986 O
0.4140 0.6116 0.2925 O
0.1454 0.9837 0.7181 O
0.4226 0.0448 0.3184 O
0.5113 0.5031 0.0017 O
0.5355 0.0018 0.0249 O
0.0146 0.7293 0.9971 O
0.0189 0.3299 0.0107 O
0.3986 0.7028 0.7627 O
0.6395 0.3162 0.2556 O
0.6002 0.3977 0.6984 O
0.9070 0.6108 0.2893 O
0.6062 0.9834 0.7146 O
0.9003 0.0479 0.3400 O



--- B ---
GGA+U Ba2CaV2Si4O14, relaxed; symmetry = P1
1.0
0.6226 -0.2247 5.9026
7.2488 -0.2726 0.8093
-0.6082 7.9935 -3.2524
Ba Ca V Si O
2 1 2 4 14
Direct
0.7863 0.7542 0.5760 Ba
0.2880 0.2438 0.4294 Ba
0.1081 0.9664 0.0335 Ca
0.0612 0.6018 0.1662 V
0.9935 0.3674 0.8453 V
0.4255 0.5188 0.8087 Si
0.6386 0.4601 0.2156 Si
0.3506 0.9695 0.7853 Si
0.6921 0.0179 0.1893 Si
0.1755 0.4205 0.7112 O
0.4312 0.5552 0.2956 O
0.0679 0.0731 0.7713 O
0.5122 0.9582 0.2641 O
0.5423 0.4885 0.0128 O
0.5530 0.0232 0.9790 O
0.9841 0.6561 0.9431 O
0.0885 0.3139 0.0727 O
0.3259 0.7448 0.7807 O
0.7349 0.2378 0.2619 O
0.6240 0.4302 0.7198 O
0.8924 0.5548 0.3132 O
0.4497 0.9942 0.6461 O
0.9756 0.8996 0.2339 O



Need the numbers? Relative energies in meV per atom: A 119; B 0.



--- A ---
GGA+U LiMn2O4, relaxed; symmetry = P-1
1.0
-4.1222 -4.3978 0.0137
-4.1087 -0.0010 -4.0850
0.0134 -4.3997 -4.1010
Li Mn O
2 4 8
Direct
0.1376 0.1131 0.1367 Li
0.8624 0.8869 0.8632 Li
0.5001 0.5000 0.9999 Mn
0.5000 0.9999 0.5001 Mn
0.0000 0.5000 0.5001 Mn
0.5000 0.5000 0.5001 Mn
0.2809 0.2500 0.7221 O
0.2760 0.6991 0.2774 O
0.7225 0.2467 0.2812 O
0.2777 0.2476 0.2759 O
0.7191 0.7500 0.2778 O
0.7239 0.3010 0.7226 O
0.2775 0.7533 0.7187 O
0.7223 0.7524 0.7241 O



--- B ---
GGA+U LiMn2O4, relaxed; symmetry = R3m
1.0
-3.2024 -4.8632 -1.1623
0.4819 -2.7406 -5.2453
2.6249 -5.3116 -0.3926
Li Mn O
2 4 8
Direct
0.8834 0.8834 0.8834 Li
0.5007 0.5007 0.5007 Li
0.5010 0.9942 0.5010 Mn
0.9942 0.5010 0.5010 Mn
0.5010 0.5010 0.9942 Mn
0.1186 0.1186 0.1186 Mn
0.7373 0.7373 0.7373 O
0.7486 0.7486 0.2912 O
0.2912 0.7486 0.7486 O
0.7486 0.2912 0.7486 O
0.2548 0.7045 0.2548 O
0.7045 0.2548 0.2548 O
0.2548 0.2548 0.7045 O
0.2611 0.2611 0.2611 O



Need the numbers? Relative energies in meV per atom: A 0; B 46.



--- A ---
GGA+U Li2VOF4, relaxed; symmetry = P1
1.0
0.0002 0.0113 3.6937
0.0020 10.2238 0.0318
-4.9977 -0.0066 -1.8469
Li V O F
4 2 2 8
Direct
0.8584 0.9195 0.7290 Li
0.1286 0.4198 0.2710 Li
0.8163 0.2484 0.6350 Li
0.1783 0.7484 0.3653 Li
0.1774 0.0592 0.2767 V
0.8978 0.5593 0.7237 V
0.3383 0.5683 0.6830 O
0.6579 0.0684 0.3173 O
0.9497 0.1239 0.9217 F
0.0236 0.6241 0.0786 F
0.9435 0.3908 0.8917 F
0.0563 0.8908 0.1079 F
0.2975 0.9520 0.6092 F
0.6877 0.4521 0.3897 F
0.7655 0.7375 0.5449 F
0.2231 0.2376 0.4554 F



--- B ---
GGA+U Li2VOF4, relaxed; symmetry = P1
1.0
-0.2789 -4.6072 2.5067
4.6362 3.5179 6.3026
-7.9209 3.2149 3.8859
Li V O F
8 4 4 16
Direct
0.7822 0.6094 0.3209 Li
0.6731 0.6096 0.9834 Li
0.8226 0.1234 0.0087 Li
0.7441 0.1040 0.6643 Li
0.1958 0.4369 0.1820 Li
0.1819 0.3807 0.5097 Li
0.3393 0.8717 0.4925 Li
0.3193 0.9102 0.8068 Li
0.6756 0.2180 0.3537 V
0.8125 0.7124 0.6299 V
0.2336 0.8007 0.1291 V
0.2851 0.2808 0.8707 V
0.7636 0.6103 0.7741 O
0.5905 0.6774 0.4974 O
0.6759 0.1049 0.2099 O
0.3290 0.3555 0.7124 O
0.9952 0.1385 0.8136 F
0.0852 0.8718 0.6412 F
0.0031 0.9320 0.0301 F
0.9218 0.1979 0.5115 F
0.5266 0.3999 0.9957 F
0.4156 0.3699 0.3440 F
0.5134 0.6734 0.1956 F
0.6149 0.8955 0.6851 F
0.4897 0.1009 0.8916 F
0.4616 0.0988 0.4777 F
0.3853 0.7614 0.9461 F
0.0666 0.3078 0.0288 F
0.1339 0.8394 0.3186 F
0.0568 0.5938 0.5418 F
0.9983 0.6169 0.1178 F
0.9078 0.3963 0.3154 F



Need the numbers? Relative energies in meV per atom: A 0; B 64.



--- A ---
GGA+U Li2V3SnO8, relaxed; symmetry = P2_12_12_1
1.0
-7.6775 1.6338 -3.4288
-1.1866 -8.4661 -1.3741
-3.6266 -0.7515 7.7618
Li V Sn O
8 12 4 32
Direct
0.0049 0.0046 0.0030 Li
0.2458 0.2449 0.2451 Li
0.2541 0.7552 0.7452 Li
0.4951 0.9953 0.5029 Li
0.5049 0.4953 0.9971 Li
0.7458 0.2552 0.7548 Li
0.7542 0.7449 0.2548 Li
0.9951 0.5046 0.4970 Li
0.1164 0.1326 0.6238 V
0.1232 0.3826 0.8667 V
0.1358 0.6256 0.1189 V
0.3643 0.3746 0.6189 V
0.3769 0.6175 0.3666 V
0.3835 0.8676 0.1239 V
0.6164 0.3675 0.3761 V
0.6232 0.1173 0.1334 V
0.6358 0.8746 0.8811 V
0.8643 0.1254 0.3811 V
0.8769 0.8825 0.6334 V
0.8837 0.6324 0.8763 V
0.1250 0.8742 0.3763 Sn
0.3750 0.1257 0.8763 Sn
0.6249 0.6256 0.6236 Sn
0.8750 0.3743 0.1236 Sn
0.1070 0.1187 0.3920 O
0.1190 0.8992 0.6188 O
0.1056 0.6202 0.8796 O
0.1293 0.1472 0.8593 O
0.1181 0.3850 0.1031 O
0.1307 0.3634 0.6299 O
0.1324 0.6334 0.3523 O
0.1548 0.8683 0.1307 O
0.3450 0.1318 0.6307 O
0.3677 0.3665 0.8523 O
0.3695 0.6367 0.1299 O
0.3819 0.6152 0.6031 O
0.3708 0.8529 0.3592 O
0.3943 0.3799 0.3795 O
0.3808 0.1007 0.1190 O
0.3929 0.8813 0.8919 O
0.6071 0.3813 0.6080 O
0.6191 0.6008 0.3812 O
0.6058 0.8797 0.1203 O
0.6292 0.3527 0.1407 O
0.6181 0.1151 0.8970 O
0.6306 0.1366 0.3701 O
0.6324 0.8665 0.6478 O
0.6550 0.6317 0.8693 O
0.8450 0.3682 0.3693 O
0.8677 0.1335 0.1477 O
0.8694 0.8634 0.8701 O
0.8818 0.8849 0.3969 O
0.8708 0.6471 0.6407 O
0.8944 0.1200 0.6205 O
0.8809 0.3993 0.8811 O
0.8930 0.6187 0.1080 O



--- B ---
GGA+U Li2V3SnO8, relaxed; symmetry = Cc
1.0
5.8758 0.0043 0.0027
-2.9342 5.0822 -0.0053
0.0049 -0.0085 9.9151
Li V Sn O
4 6 2 16
Direct
0.3332 0.6690 0.8949 Li
0.0013 0.9972 0.9919 Li
0.9987 0.9959 0.4919 Li
0.6668 0.3358 0.3949 Li
0.1766 0.8247 0.2154 V
0.6473 0.8236 0.2135 V
0.3527 0.1763 0.7135 V
0.8242 0.1769 0.7134 V
0.1758 0.3527 0.2134 V
0.8234 0.6480 0.7154 V
0.3339 0.6664 0.4943 Sn
0.6661 0.3325 0.9943 Sn
0.1613 0.8393 0.6048 O
0.0338 0.5171 0.3404 O
0.3320 0.6684 0.0968 O
0.0005 0.0000 0.3032 O
0.9995 0.9995 0.8032 O
0.1606 0.3196 0.6034 O
0.4846 0.9677 0.3398 O
0.4828 0.5163 0.3388 O
0.3199 0.1601 0.1035 O
0.6801 0.8402 0.6035 O
0.5154 0.4831 0.8398 O
0.5172 0.0336 0.8388 O
0.6680 0.3364 0.5968 O
0.8387 0.6780 0.1048 O
0.9662 0.4833 0.8404 O
0.8394 0.1590 0.1034 O



--- C ---
GGA+U Li2V3SnO8, relaxed; symmetry = P2_12_12_1
1.0
8.5688 0.0000 0.0000
0.0000 8.5853 0.0000
0.0000 0.0000 8.5889
Li V Sn O
8 12 4 32
Direct
0.6254 0.3747 0.8744 Li
0.5014 0.9968 0.0019 Li
0.4986 0.4968 0.4981 Li
0.3746 0.8747 0.6256 Li
0.1254 0.1253 0.1256 Li
0.0014 0.5032 0.9981 Li
0.9986 0.0032 0.5019 Li
0.8746 0.6253 0.3744 Li
0.6367 0.6256 0.1276 V
0.6356 0.8587 0.3716 V
0.6255 0.1310 0.6324 V
0.3745 0.6310 0.8676 V
0.3644 0.3587 0.1284 V
0.3633 0.1256 0.3724 V
0.1367 0.8744 0.8724 V
0.1356 0.6413 0.6284 V
0.1255 0.3690 0.3676 V
0.8745 0.8690 0.1324 V
0.8644 0.1413 0.8716 V
0.8633 0.3744 0.6276 V
0.7454 0.2470 0.2512 Sn
0.2546 0.7470 0.2488 Sn
0.2454 0.2530 0.7488 Sn
0.7546 0.7530 0.7512 Sn
0.6389 0.3574 0.6248 O
0.6502 0.1181 0.8649 O
0.6360 0.8651 0.1439 O
0.6190 0.6469 0.3626 O
0.6245 0.8846 0.6096 O
0.6102 0.1094 0.3865 O
0.6091 0.3840 0.1224 O
0.6167 0.6214 0.8843 O
0.3833 0.1214 0.6157 O
0.3909 0.8840 0.3776 O
0.3898 0.6094 0.1135 O
0.3755 0.3846 0.8904 O
0.3810 0.1469 0.1374 O
0.3640 0.3651 0.3561 O
0.3498 0.6181 0.6351 O
0.3611 0.8574 0.8752 O
0.1389 0.1426 0.3752 O
0.1502 0.3819 0.1351 O
0.1360 0.6349 0.8561 O
0.1190 0.8531 0.6374 O
0.1245 0.6154 0.3904 O
0.1102 0.3906 0.6135 O
0.1091 0.1160 0.8776 O
0.1167 0.8786 0.1157 O
0.8833 0.3786 0.3843 O
0.8909 0.6160 0.6224 O
0.8898 0.8906 0.8865 O
0.8755 0.1154 0.1096 O
0.8810 0.3531 0.8626 O
0.8640 0.1349 0.6439 O
0.8498 0.8819 0.3649 O
0.8611 0.6426 0.1248 O



Need the numbers? Relative energies in meV per atom: A 0; B 25; C 35.